Version w
VASP calculation (PBE-GGA) on a relaxed structure of AgN.

Its symmetry is Cmce (64).

Cell: 4.0974 4.0974 7.1389 Å, 90.00 90.00 92.12°
Closest atoms and distances in Å follow each position.
Sites, in units of the cell vectors:
Ag (0.1634, 0.8366, 0.8416)  4 N 2.14-2.16
Ag (0.3366, 0.6634, 0.3416)  4 N 2.14-2.16
Ag (0.6634, 0.3366, 0.6584)  4 N 2.14-2.16
Ag (0.8366, 0.1634, 0.1584)  4 N 2.14-2.16
N (0.1608, 0.3392, 0.7500)  4 Ag 2.14-2.16
N (0.3392, 0.1608, 0.2500)  4 Ag 2.14-2.16
N (0.6608, 0.8392, 0.7500)  4 Ag 2.14-2.16
N (0.8392, 0.6608, 0.2500)  4 Ag 2.14-2.16

Version x
VASP calculation (PBE-GGA) on a relaxed structure of AgN.

Its symmetry is Ama2 (40).

Cell: 5.7766 3.8197 3.8197 Å, 90.20 90.00 90.00°
Closest atoms and distances in Å follow each position.
Sites, in units of the cell vectors:
Ag (0.2500, 0.0065, 0.9935)  2 N 1.89-1.93
Ag (0.7500, 0.9935, 0.0065)  2 N 1.89-1.93
N (0.2500, 0.0108, 0.4983)  2 Ag 1.89-1.93
N (0.7500, 0.4983, 0.0108)  2 Ag 1.89-1.93

Tell me which of them is the least stable. Sure, it is version x.